Density functional theory data (PBE) for a relaxed structure of Na2Mn2S3.

For the density, the calculation gives 2695 kg/m3. Its total energy is -5.57 eV per atom.

The space group is C2/c (No. 15) and the conventional cell measures 14.997, 13.377 and 6.949 Å, with angles of 90.00, 116.98 and 90.00 degrees. The asymmetric unit holds Na at (0.000, 0.071, 0.250), Na at (0.000, 0.218, 0.750), Na at (0.099, 0.413, 0.625), Mn at (0.181, 0.236, 0.255), Mn at (0.210, 0.074, 0.798), S at (0.115, 0.385, 0.048), S at (0.139, 0.218, 0.555) and S at (0.146, 0.075, 0.067).



Density functional theory data (PBE) for a relaxed structure of Na2Mn2Se3.

For the density, the calculation gives 3666 kg/m3. Its total energy is -5.27 eV per atom.

The space group is C2/c (No. 15) and the conventional cell measures 15.656, 14.013 and 7.314 Å, with angles of 90.00, 117.52 and 90.00 degrees. The asymmetric unit holds Na at (0.000, 0.070, 0.250), Na at (0.000, 0.221, 0.750), Na at (0.105, 0.415, 0.639), Mn at (0.183, 0.236, 0.258), Mn at (0.210, 0.076, 0.796), Se at (0.112, 0.385, 0.047), Se at (0.135, 0.219, 0.550) and Se at (0.147, 0.075, 0.066).



Density functional theory data (PBE) for a relaxed structure of Mn2Nb.

For the density, the calculation gives 8480 kg/m3. Its total energy is -9.62 eV per atom.

The space group is P6_3/mmc (No. 194) and the conventional cell measures 4.8180, 4.8180 and 7.9015 Å, with angles of 90.00, 90.00 and 120.00 degrees. The asymmetric unit holds Mn at (0.0000, 0.0000, 0.0000), Mn at (0.1713, 0.3427, 0.2500) and Nb at (0.3333, 0.6667, 0.5621).



Density functional theory data (PBE) for a relaxed structure of MnNbP.

For the density, the calculation gives 7463 kg/m3. Its total energy is -9.04 eV per atom.

The space group is Pnma (No. 62) and the conventional cell measures 6.186, 3.589 and 7.169 Å, with angles of 90.00, 90.00 and 90.00 degrees. The asymmetric unit holds Mn at (0.140, 0.250, 0.058), Nb at (0.028, 0.250, 0.674) and P at (0.227, 0.750, 0.873).



Density functional theory data (PBE) for a relaxed structure of Mn2NbP12.

For the density, the calculation gives 4244 kg/m3. Its total energy is -6.61 eV per atom.

The space group is C2/c (No. 15) and the conventional cell measures 16.113, 5.792 and 10.687 Å, with angles of 90.00, 115.64 and 90.00 degrees. The asymmetric unit holds Mn at (0.182, 0.190, 0.046), Nb at (0.000, 0.304, 0.250), P at (0.033, 0.049, 0.928), P at (0.062, 0.354, 0.665), P at (0.117, 0.450, 0.504), P at (0.156, 0.176, 0.242), P at (0.178, 0.173, 0.836) and P at (0.226, 0.178, 0.574).



Density functional theory data (PBE) for a relaxed structure of MnNb4S8.

For the density, the calculation gives 4691 kg/m3. Its total energy is -7.42 eV per atom.

The space group is P6_3/mmc (No. 194) and the conventional cell measures 6.7242, 6.7242 and 12.3508 Å, with angles of 90.00, 90.00 and 120.00 degrees. The asymmetric unit holds Mn at (0.0000, 0.0000, 0.0000), Nb at (0.0000, 0.0000, 0.2500), Nb at (0.0120, 0.5060, 0.2500), S at (0.1678, 0.3356, 0.6236) and S at (0.3333, 0.6667, 0.1199).